(1)
The following is a DFT calculation (PBE with a Hubbard U) of crystalline CrSiO4 at its relaxed geometry.

Calculated values
Formation energy: -2.191 eV per atom
Total energy after the MP2020 corrections: -48.01 eV per formula unit
VASP energy: -7.21 eV/atom

Unit cell a=11.2278 b=11.2278 c=11.2278 alpha=90.00 beta=90.00 gamma=90.00
Closest atoms and distances in Å follow each position.
Space group Ia-3d (No. 230)
Unique sites:
Cr (0.0000, 0.2500, 0.1250)  8 O 2.12-2.15
Si (0.0000, 0.2500, 0.3750)  4 O 1.64
O (0.0284, 0.0638, 0.6603)  1 Si 1.64

***

(2)
The following is a DFT calculation (PBE with a Hubbard U) of crystalline CrSi4O10 at its relaxed geometry.

Calculated values
Formation energy: -2.821 eV per atom
Total energy after the MP2020 corrections: -123.14 eV per formula unit
E above lowest polymorph: 110 meV/atom
VASP energy: -7.62 eV/atom

Unit cell a=7.5269 b=7.5269 c=16.1997 alpha=90.00 beta=90.00 gamma=90.00
Closest atoms and distances in Å follow each position.
Space group P4/ncc (No. 130, origin choice 2)
Unique sites:
Cr (0.2500, 0.2500, 0.0896)  4 O 1.85
Si (0.0193, 0.0666, 0.3464)  4 O 1.62-1.63
O (0.0020, 0.2218, 0.8651)  2 Si 1.63
O (0.0299, 0.5299, 0.2500)  2 Si 1.63
O (0.0429, 0.1194, 0.0965)  1 Si 1.62

***

(3)
The following is a DFT calculation (PBE with a Hubbard U) of crystalline Zn3Cr2Si4O14 at its relaxed geometry.

Calculated values
Formation energy: -2.594 eV per atom
Total energy after the MP2020 corrections: -173.73 eV per formula unit
VASP energy: -6.96 eV/atom

Unit cell a=16.3494 b=7.6759 c=9.8925 alpha=90.00 beta=121.77 gamma=90.00
Closest atoms and distances in Å follow each position.
Space group C2/c (No. 15)
Unique sites:
Zn (0.0000, 0.1127, 0.2500)  4 O 2.05-2.16
Zn (0.1744, 0.3994, 0.4108)  3 O 1.90-2.05
Cr (0.0000, 0.2901, 0.7500)  6 O 1.96-2.07
Cr (0.0000, 0.5000, 0.0000)  6 O 1.94-2.16
Si (0.1219, 0.1487, 0.0972)  4 O 1.63-1.68
Si (0.1807, 0.2086, 0.7072)  4 O 1.63-1.64
O (0.0563, 0.0870, 0.9122)  1 Si 1.63
O (0.0660, 0.2811, 0.1589)  1 Si 1.68
O (0.0820, 0.4567, 0.9167)  1 Zn 1.90, 2 Cr 1.94-1.96
O (0.0914, 0.3355, 0.6701)  1 Si 1.63
O (0.1530, 0.0097, 0.7301)  2 Si 1.64-1.66
O (0.2056, 0.1992, 0.5679)  1 Si 1.63
O (0.2247, 0.2235, 0.1273)  2 Si 1.64-1.65

***

(4)
The following is a DFT calculation (PBE with a Hubbard U) of crystalline ZnCrSi2O6 at its relaxed geometry.

Calculated values
Formation energy: -2.683 eV per atom
Total energy after the MP2020 corrections: -78.29 eV per formula unit
E above lowest polymorph: 0 meV/atom
VASP energy: -7.22 eV/atom

Unit cell a=9.9919 b=9.6487 c=5.3520 alpha=90.00 beta=111.43 gamma=90.00
Closest atoms and distances in Å follow each position.
Space group C2/c (No. 15)
Unique sites:
Zn (0.0000, 0.2414, 0.2500)  4 O 1.92-2.09
Cr (0.0000, 0.1010, 0.7500)  4 O 2.05-2.26
Si (0.1988, 0.4162, 0.7278)  4 O 1.62-1.66
O (0.1189, 0.2694, 0.6207)  1 Si 1.62
O (0.1234, 0.0915, 0.1517)  1 Si 1.66
O (0.1509, 0.4738, 0.9733)  2 Si 1.65

***

(5)
The following is a DFT calculation (PBE with a Hubbard U) of crystalline ZnCrSi2O6 at its relaxed geometry.

Calculated values
Formation energy: -2.669 eV per atom
Total energy after the MP2020 corrections: -78.14 eV per formula unit
E above lowest polymorph: 15 meV/atom
VASP energy: -7.20 eV/atom

Unit cell a=5.3268 b=18.7267 c=9.1893 alpha=90.00 beta=90.00 gamma=90.00
Closest atoms and distances in Å follow each position.
Space group Pbca (No. 61)
Unique sites:
Zn (0.1179, 0.1243, 0.1501)  6 O 2.07-2.28
Cr (0.1240, 0.1237, 0.5174)  4 O 2.05-2.25
Si (0.0646, 0.7281, 0.6623)  4 O 1.62-1.68
Si (0.2123, 0.0247, 0.8357)  4 O 1.62-1.68
O (0.0583, 0.6848, 0.1644)  1 Si 1.63
O (0.0677, 0.6891, 0.5048)  1 Si 1.62
O (0.0773, 0.5508, 0.7103)  2 Si 1.67-1.68
O (0.1652, 0.1974, 0.7325)  2 Si 1.66-1.68
O (0.2029, 0.5656, 0.9833)  1 Si 1.62
O (0.2107, 0.5630, 0.3395)  1 Si 1.64

***

(6)
The following is a DFT calculation (PBE with a Hubbard U) of crystalline SmCr2O2 at its relaxed geometry.

Calculated values
Formation energy: -1.021 eV per atom
Total energy after the MP2020 corrections: -39.03 eV per formula unit
VASP energy: -6.73 eV/atom

Unit cell a=8.4539 b=8.4539 c=10.4607 alpha=90.00 beta=90.00 gamma=90.00
Closest atoms and distances in Å follow each position.
Space group I4_1/amd (No. 141, origin choice 2)
Unique sites:
Sm (0.0000, 0.0000, 0.0000)  2 O 2.23
Cr (0.0000, 0.0418, 0.6336)  1 O 2.01
O (0.0000, 0.0824, 0.2030)  1 Cr 2.01, 1 Sm 2.23

***

(7)
The following is a DFT calculation (PBE with a Hubbard U) of crystalline SmCrO3 at its relaxed geometry.

Calculated values
Formation energy: -2.974 eV per atom
Total energy after the MP2020 corrections: -44.08 eV per formula unit
VASP energy: -8.00 eV/atom

Unit cell a=3.8776 b=3.8776 c=3.8776 alpha=90.00 beta=90.00 gamma=90.00
Closest atoms and distances in Å follow each position.
Space group Pm-3m (No. 221)
Unique sites:
Sm (0.0000, 0.0000, 0.0000)  12 O 2.74
Cr (0.5000, 0.5000, 0.5000)  6 O 1.94
O (0.0000, 0.5000, 0.5000)  2 Cr 1.94

***

(8)
The following is a DFT calculation (PBE with a Hubbard U) of crystalline Sm2Cr2O5 at its relaxed geometry.

Calculated values
Formation energy: -2.816 eV per atom
Total energy after the MP2020 corrections: -78.83 eV per formula unit
VASP energy: -7.93 eV/atom

Unit cell a=15.7369 b=5.6923 c=5.4535 alpha=90.00 beta=90.00 gamma=90.00
Closest atoms and distances in Å follow each position.
Space group Ima2 (No. 46)
Unique sites:
Sm (0.1186, 0.0075, 0.0000)  4 O 2.22-2.45
Cr (0.0000, 0.0000, 0.4810)  6 O 2.02-2.03
Cr (0.2500, 0.5049, 0.0054)  4 O 2.08-2.32
O (0.0296, 0.7418, 0.2378)  2 Cr 2.02-2.03
O (0.1241, 0.0938, 0.4479)  2 Cr 2.03-2.08
O (0.2500, 0.6112, 0.4164)  2 Sm 2.22, 2 Cr 2.24-2.32